one | Crystalline MgAl2O4 at its relaxed geometry, computed with PBE. Values from VASP.

Computed properties:
As for the space group: R3m. The calculation puts the total magnetization at 0.00 μB/f.u.

Cell and atoms, written as Quantum ESPRESSO input:
```
&SYSTEM
  ibrav = 0, nat = 70, ntyp = 3
/
ATOMIC_SPECIES
Mg 24.30 Mg.upf
O 16.00 O.upf
Al 26.98 Al.upf
CELL_PARAMETERS angstrom
-17.4284 -9.8118 12.9779
-13.0291 -12.5010 15.5696
-14.6567 -7.2578 17.3479
ATOMIC_POSITIONS angstrom
Mg -19.1291 -12.5384 19.4603
Mg -28.2046 -18.4871 28.6930
Mg -16.9538 -11.1126 17.2474
Mg -22.5426 -14.7759 22.9330
Mg -1.1196 -0.7339 1.1390
Mg -37.1822 -24.3715 37.8261
Mg -10.1527 -6.6547 10.3285
Mg -43.9915 -28.8348 44.7533
Mg -25.9313 -16.9970 26.3804
Mg -4.4807 -2.9370 4.5583
O -31.6767 -18.9986 31.1941
O -17.6019 -13.6707 19.1535
O -24.6489 -16.1564 25.0758
O -14.1549 -8.2328 15.4846
O -19.9714 -12.2223 17.7576
O -13.4307 -10.5657 14.6933
O -8.6252 -7.8607 10.0646
O -22.3934 -16.6240 23.9185
O -26.6622 -19.6707 28.4065
O -26.5650 -18.7122 25.6763
O -29.7171 -20.1964 32.3485
O -33.8385 -22.1799 34.4245
O -15.6776 -10.2761 15.9491
O -35.6159 -24.5667 34.9649
O -29.4457 -19.3005 29.9556
O -22.6355 -13.0222 21.9670
O -2.3479 -1.5390 2.3886
O -11.0767 -6.3622 8.6203
O -17.5566 -12.8294 16.4892
O -29.0997 -18.1807 26.9705
O -11.3982 -7.4711 11.5956
O -27.5640 -16.7656 29.3918
O -18.4723 -9.8794 17.4898
O -18.4785 -10.8467 20.1113
O -24.5547 -15.3028 22.6452
O -34.1742 -23.2383 37.2379
O -27.4656 -15.8109 26.6603
O -36.4625 -21.8395 35.8898
O -15.9971 -11.3924 18.9480
O -20.6202 -14.2541 23.1543
O -25.0313 -17.2990 28.0944
O -6.7262 -4.4088 6.8427
O -9.5322 -4.9390 11.0555
O -38.4627 -25.2109 39.1288
O -20.3926 -13.3666 20.7457
O -42.7319 -28.0092 43.4719
O -23.1930 -14.0481 24.7922
O -21.8899 -15.4241 21.1524
O -30.9517 -21.3340 30.4020
O -15.3882 -9.3692 13.5401
Al -29.0799 -21.0400 30.7402
Al -22.8547 -15.7991 25.6643
Al -29.8932 -18.4200 31.6288
Al -13.2283 -7.8666 11.0866
Al -31.8628 -21.7045 34.8313
Al -40.6203 -26.6251 41.3238
Al -33.2723 -23.0033 32.6090
Al -31.5881 -20.7048 32.1351
Al -24.2625 -17.0964 23.4446
Al -31.2781 -19.6962 29.4451
Al -20.8699 -12.5381 22.4155
Al -11.0336 -9.2081 12.3795
Al -35.0101 -22.9478 35.6164
Al -34.1000 -20.3370 33.5133
Al -13.5432 -8.8771 13.7778
Al -11.8456 -6.5924 13.2667
Al -7.9083 -5.1836 8.0453
Al -22.2165 -13.7790 20.2924
Al -20.0791 -15.0855 21.5516
Al -25.0892 -14.4331 24.3479
```

two | Crystalline MgAl2O4 at its relaxed geometry, computed with PBE. Values from VASP.

Computed properties:
As for the space group: P3m1. The calculation puts the total magnetization at 0.00 μB/f.u.

Cell and atoms, written as Quantum ESPRESSO input:
```
&SYSTEM
  ibrav = 0, nat = 42, ntyp = 3
/
ATOMIC_SPECIES
O 16.00 O.upf
Mg 24.30 Mg.upf
Al 26.98 Al.upf
CELL_PARAMETERS angstrom
-1.3435 5.1188 -2.3083
-1.5744 -1.2262 5.4178
12.2139 5.3525 4.7606
ATOMIC_POSITIONS angstrom
O 6.5650 6.0267 6.3481
O -0.0718 2.8819 -0.7882
O 3.2365 2.9633 4.6876
O -1.4182 4.6781 0.6466
O 5.6963 2.4237 5.2802
O 9.0330 5.5035 6.9469
O 7.4476 6.8900 3.7236
O 0.9977 4.0635 1.2096
O 8.4350 8.0787 5.7848
O 2.3890 5.5308 3.6536
O 7.8562 4.3041 4.9721
O 9.2054 8.6786 3.1339
O 0.9398 0.7862 5.2578
O 0.5261 0.2306 0.2051
O 9.8627 6.1741 4.2633
O 6.4528 2.8278 2.5151
O 0.1841 3.6653 3.9595
O 1.8253 1.4759 2.2105
O 4.0086 3.3701 1.9276
O -0.7983 2.3160 1.7118
O 4.3947 4.1601 6.6673
O 5.0970 4.7070 4.2506
O 3.2629 6.2114 0.6463
O 7.1595 3.7615 7.3696
Mg 2.6655 4.7944 1.8596
Mg 8.1400 3.5672 3.1727
Mg 10.3234 8.1503 4.8445
Mg 5.7165 6.1314 3.0488
Mg -1.4490 0.9100 2.8613
Mg 1.5112 2.2072 4.0151
Al 3.5529 1.5570 1.3848
Al 8.1995 6.1641 5.3378
Al 4.0520 2.2787 6.3098
Al 0.1538 4.7170 -0.4003
Al 7.4235 5.5597 8.0083
Al 6.1129 4.2238 5.8087
Al 3.3794 4.8414 5.1542
Al 0.8144 2.2002 0.7346
Al 8.8617 3.6411 6.4756
Al -0.6203 4.1141 2.2635
Al 4.8402 2.8926 3.5974
Al 11.1654 4.8930 4.3519
```

two has the most favorable energy; the next structure is 0.6 kJ/mol of atoms above.

one | Crystalline P at its relaxed geometry, computed with PBE. Values from VASP.

Computed properties:
As for the space group: Cmce.

Cell and atoms, written as Quantum ESPRESSO input:
```
&SYSTEM
  ibrav = 0, nat = 4, ntyp = 1
/
ATOMIC_SPECIES
P 30.97 P.upf
CELL_PARAMETERS angstrom
-3.3061 0.0000 0.0000
0.0000 0.0000 -4.5524
1.6531 -5.6106 0.0000
ATOMIC_POSITIONS angstrom
P -1.6531 -1.0603 -4.1586
P 0.0000 -1.0603 -2.6701
P -1.6531 -4.5502 -1.8823
P 0.0000 -4.5502 -0.3939
```

two | Crystalline P at its relaxed geometry, computed with PBE. Values from VASP.

Computed properties:
As for the space group: P-1.

Cell and atoms, written as Quantum ESPRESSO input:
```
&SYSTEM
  ibrav = 0, nat = 42, ntyp = 1
/
ATOMIC_SPECIES
P 30.97 P.upf
CELL_PARAMETERS angstrom
7.8575 0.0000 0.0000
-2.5204 11.8827 0.0000
-3.7532 -3.7217 11.9303
ATOMIC_POSITIONS angstrom
P -1.1344 7.6313 3.2749
P 3.2345 7.4686 3.9812
P -3.7824 3.4527 8.6900
P -0.7398 9.4344 2.0697
P 4.0722 1.7587 3.2494
P 4.2838 3.4019 1.8019
P -0.2986 3.6859 7.9778
P 2.4920 2.5089 4.7348
P 0.4726 10.5403 3.5526
P -2.4884 6.4023 8.6808
P 2.7182 0.5298 8.6553
P -2.1723 2.7360 7.2479
P 2.1297 6.1732 0.9650
P 1.4442 -0.6290 5.1044
P 3.7181 7.5089 1.8187
P 4.3189 -0.1479 7.1632
P 4.2151 -2.4738 9.7898
P 0.7628 7.3016 9.8288
P -2.1343 0.6521 10.1115
P -2.7000 4.7591 10.1284
P -0.5459 1.9879 10.9653
P -4.0408 1.7652 10.1129
P -0.9082 5.6521 7.1955
P -1.6508 0.6925 7.9490
P 2.9872 0.2653 2.0413
P 4.5873 -2.2966 7.5889
P -2.6313 10.6349 2.1405
P 0.7072 1.2967 4.2905
P -3.0035 10.4577 4.3414
P 0.8210 0.8594 2.1014
P 2.3236 -1.2734 9.8605
P 0.8766 6.8643 7.6398
P 5.6246 6.3959 1.8173
P 1.8824 4.4751 3.9524
P 0.1396 8.7900 6.8259
P 3.7561 5.4250 4.6823
P 1.1112 -2.3793 8.3776
P 2.1866 4.0923 1.7917
P -1.4034 7.8957 9.8890
P -2.7351 8.3089 4.7671
P 5.3662 4.7083 3.2402
P -0.6029 4.0688 10.1385
```

three | Crystalline P at its relaxed geometry, computed with PBE. Values from VASP.

Computed properties:
As for the space group: P-1.

Cell and atoms, written as Quantum ESPRESSO input:
```
&SYSTEM
  ibrav = 0, nat = 24, ntyp = 1
/
ATOMIC_SPECIES
P 30.97 P.upf
CELL_PARAMETERS angstrom
6.0248 0.0000 0.0000
-2.0978 11.6760 0.0000
-1.8239 -1.2037 11.8187
ATOMIC_POSITIONS angstrom
P 0.6437 -0.3073 4.3366
P 2.0143 10.6712 9.6107
P 3.7229 4.2309 0.6798
P 0.0887 -0.1989 2.2080
P 2.6279 4.8890 7.5645
P -0.0784 2.5511 11.6510
P 2.9088 9.2688 8.1649
P 3.1161 2.1313 0.4124
P -1.0130 8.3410 11.4063
P 2.1815 7.9213 0.1677
P -0.4524 -0.2792 8.1304
P -0.4993 7.5593 3.2796
P 1.4594 10.7797 7.4821
P 2.6024 2.9131 8.5391
P 3.7225 6.8799 4.3472
P 2.5555 10.7515 3.6883
P -0.0489 7.1040 9.8576
P 2.5923 3.0568 6.3413
P -0.4892 7.4155 5.4774
P -0.8058 1.2036 3.6538
P -1.6198 6.2414 11.1389
P -0.5248 5.5833 4.2542
P 2.1520 3.3684 1.9611
P -1.6194 3.5924 7.4715
```

two has the most favorable energy; the next structure is 3.4 kJ/mol of atoms above.

one | Crystalline La2MgS4 at its relaxed geometry, computed with PBE. Values from VASP.

Computed properties:
As for the space group: Fd-3m. The calculation puts the total magnetization at 0.00 μB/f.u.

Cell and atoms, written as Quantum ESPRESSO input:
```
&SYSTEM
  ibrav = 0, nat = 14, ntyp = 3
/
ATOMIC_SPECIES
S 32.06 S.upf
La 138.91 La.upf
Mg 24.30 Mg.upf
CELL_PARAMETERS angstrom
-2.4905 -1.5711 7.7069
-6.9440 -4.2601 1.3035
0.3731 -7.6884 2.9693
ATOMIC_POSITIONS angstrom
S -3.2330 -8.8790 5.9772
S -6.8320 -7.1927 5.1579
S -4.6415 -5.8701 8.3075
S -6.6854 -11.0294 6.6671
S -8.0939 -8.0205 8.9974
S -4.4949 -9.7067 9.8167
S -3.4165 -5.0974 4.5168
S -7.9104 -11.8021 10.4579
La -5.6634 -8.4497 7.4873
La -5.8500 -4.6055 6.0027
La -2.1914 -6.3197 6.8355
La -4.4182 -7.6642 3.6339
Mg -2.2654 -3.3799 2.9949
Mg 0.0000 0.0000 0.0000
```

two | Crystalline La2MgS4 at its relaxed geometry, computed with PBE. Values from VASP.

Computed properties:
As for the space group: P-1. The calculation puts the total magnetization at 0.00 μB/f.u.

Cell and atoms, written as Quantum ESPRESSO input:
```
&SYSTEM
  ibrav = 0, nat = 28, ntyp = 3
/
ATOMIC_SPECIES
Mg 24.30 Mg.upf
S 32.06 S.upf
La 138.91 La.upf
CELL_PARAMETERS angstrom
-7.1940 -2.0843 -2.0794
2.7766 -8.5911 -0.7697
-3.3493 -4.4679 10.5969
ATOMIC_POSITIONS angstrom
Mg -2.7496 -5.1263 6.8141
Mg -3.7186 -6.9718 -1.9366
Mg -4.0480 -8.1714 9.6843
Mg -5.0170 -10.0170 0.9336
S -4.8741 -12.9839 7.4680
S -2.8926 -2.1593 0.2798
S -1.9460 -4.5346 3.4628
S -5.8718 -5.4685 -1.0157
S -2.9207 -7.1986 5.4282
S -6.1101 -8.7659 7.9344
S -1.4570 -11.8775 5.1726
S -4.3903 -9.4787 -1.3333
S -0.1937 -8.6948 3.1818
S -1.8948 -9.6747 8.7635
S -6.3097 -3.2657 2.5751
S -7.5729 -6.4484 4.5659
S -1.6565 -6.3774 -0.1867
S -5.8206 -10.6087 4.2849
S -3.3764 -5.6646 9.0810
S -4.8460 -7.9447 2.3195
La -4.1264 -12.6006 4.8867
La -5.5249 -8.1392 5.3603
La -5.0431 -2.7225 -1.6606
La -2.7236 -12.4208 9.4084
La -1.2182 -9.2722 6.1733
La -2.2417 -7.0041 2.3875
La -6.5485 -5.8710 1.5744
La -3.6403 -2.5426 2.8610
```

three | Crystalline La2MgS4 at its relaxed geometry, computed with PBE. Values from VASP.

Computed properties:
As for the space group: Pnma. The calculation puts the total magnetization at 0.00 μB/f.u.

Cell and atoms, written as Quantum ESPRESSO input:
```
&SYSTEM
  ibrav = 0, nat = 28, ntyp = 3
/
ATOMIC_SPECIES
S 32.06 S.upf
La 138.91 La.upf
Mg 24.30 Mg.upf
CELL_PARAMETERS angstrom
8.3827 0.0000 0.0000
0.0000 7.1652 0.0000
0.0000 0.0000 11.9087
ATOMIC_POSITIONS angstrom
S 2.9388 7.1047 4.1390
S 2.9388 3.6430 4.1390
S 0.6717 5.3739 6.6394
S 5.4439 3.5221 7.7698
S 4.8631 5.3739 11.2237
S 5.4439 0.0604 7.7698
S 2.5458 1.7913 7.2274
S 7.1302 7.1047 1.8154
S 5.8369 5.3739 4.6813
S 7.7110 1.7913 5.2693
S 7.1302 3.6430 1.8154
S 1.2525 0.0604 10.0934
S 3.5196 1.7913 0.6851
S 1.2525 3.5221 10.0934
S 6.7371 1.7913 10.6357
S 1.6455 5.3739 1.2730
La 3.3954 5.3739 6.4454
La 0.1926 5.3739 3.7482
La 4.9873 1.7913 5.4633
La 7.5868 5.3739 11.4177
La 4.3840 5.3739 2.2061
La 0.7959 1.7913 0.4910
La 8.1901 1.7913 8.1605
La 3.9987 1.7913 9.7026
Mg 2.5467 5.3739 10.9354
Mg 5.8360 1.7913 0.9733
Mg 6.7381 5.3739 6.9277
Mg 1.6446 1.7913 4.9811
```

one has the most favorable energy; the next structure is 5.4 kJ/mol of atoms above.